1.
First-principles (PBE-GGA) data for a relaxed Ga3P3H6C2NO13 crystal, as listed in the Materials Project database.

Cell lengths 18.0716, 8.9504, 10.5866 Å; angles 56.76, 90.00, 90.00 degrees
Fractional coordinates of all 112 atoms:
Ga: 0.7896 0.2407 0.1735
Ga: 0.7104 0.2407 0.6735
Ga: 0.2104 0.7593 0.8265
Ga: 0.2896 0.7593 0.3265
Ga: 0.6063 0.0210 0.3401
Ga: 0.8937 0.0210 0.8401
Ga: 0.3937 0.9790 0.6599
Ga: 0.1063 0.9790 0.1599
Ga: 0.8309 0.6861 0.3077
Ga: 0.6691 0.6861 0.8077
Ga: 0.1691 0.3139 0.6923
Ga: 0.3309 0.3139 0.1923
P: 0.9270 0.0311 0.1267
P: 0.5730 0.0311 0.6267
P: 0.0730 0.9689 0.8733
P: 0.4270 0.9689 0.3733
P: 0.7110 0.6770 0.5219
P: 0.7890 0.6770 0.0219
P: 0.2890 0.3230 0.4781
P: 0.2110 0.3230 0.9781
P: 0.6532 0.2690 0.9969
P: 0.8468 0.2690 0.4969
P: 0.3468 0.7310 0.0031
P: 0.1532 0.7310 0.5031
H: 0.7210 0.1690 0.3942
H: 0.7790 0.1690 0.8942
H: 0.2790 0.8310 0.6058
H: 0.2210 0.8310 0.1058
H: 0.9669 0.5211 0.1059
H: 0.5331 0.5211 0.6059
H: 0.0331 0.4789 0.8941
H: 0.4669 0.4789 0.3941
H: 0.0657 0.5295 0.1133
H: 0.4343 0.5295 0.6133
H: 0.9343 0.4705 0.8867
H: 0.5657 0.4705 0.3867
H: 0.0109 0.5356 0.2509
H: 0.4891 0.5356 0.7509
H: 0.9891 0.4644 0.7491
H: 0.5109 0.4644 0.2491
H: 0.0103 0.2145 0.2279
H: 0.4897 0.2145 0.7279
H: 0.9897 0.7855 0.7721
H: 0.5103 0.7855 0.2721
H: 0.9163 0.2303 0.3474
H: 0.5837 0.2303 0.8474
H: 0.0837 0.7697 0.6526
H: 0.4163 0.7697 0.1526
C: 0.0440 0.1957 0.4193
C: 0.4560 0.1957 0.9193
C: 0.9560 0.8043 0.5807
C: 0.5440 0.8043 0.0807
C: 0.0150 0.4803 0.1811
C: 0.4850 0.4803 0.6811
C: 0.9850 0.5197 0.8189
C: 0.5150 0.5197 0.3189
N: 0.0191 0.2822 0.2819
N: 0.4809 0.2822 0.7819
N: 0.9809 0.7178 0.7181
N: 0.5191 0.7178 0.2181
O: 0.7133 0.1462 0.3138
O: 0.7867 0.1462 0.8138
O: 0.2867 0.8538 0.6862
O: 0.2133 0.8538 0.1862
O: 0.8736 0.1221 0.1787
O: 0.6264 0.1221 0.6787
O: 0.1264 0.8779 0.8213
O: 0.3736 0.8779 0.3213
O: 0.7370 0.2304 0.0204
O: 0.7630 0.2304 0.5204
O: 0.2630 0.7696 0.9796
O: 0.2370 0.7696 0.4796
O: 0.8048 0.4861 0.0621
O: 0.6952 0.4861 0.5621
O: 0.1952 0.5139 0.9379
O: 0.3048 0.5139 0.4379
O: 0.8629 0.2453 0.3602
O: 0.6371 0.2453 0.8602
O: 0.1371 0.7547 0.6398
O: 0.3629 0.7547 0.1398
O: 0.9119 0.8267 0.2148
O: 0.5881 0.8267 0.7148
O: 0.0881 0.1733 0.7852
O: 0.4119 0.1733 0.2852
O: 0.7792 0.7564 0.4160
O: 0.7208 0.7564 0.9160
O: 0.2208 0.2436 0.5840
O: 0.2792 0.2436 0.0840
O: 0.8672 0.4603 0.4480
O: 0.6328 0.4603 0.9480
O: 0.1328 0.5397 0.5520
O: 0.3672 0.5397 0.0520
O: 0.7727 0.6785 0.1655
O: 0.7273 0.6785 0.6655
O: 0.2273 0.3215 0.8345
O: 0.2727 0.3215 0.3345
O: 0.6051 0.1374 0.1298
O: 0.8949 0.1374 0.6298
O: 0.3949 0.8626 0.8702
O: 0.1051 0.8626 0.3702
O: 0.5836 0.1144 0.4550
O: 0.9164 0.1144 0.9550
O: 0.4164 0.8856 0.5450
O: 0.0836 0.8856 0.0450
O: 0.0059 0.0658 0.1577
O: 0.4941 0.0658 0.6577
O: 0.9941 0.9342 0.8423
O: 0.5059 0.9342 0.3423
O: 0.6417 0.7883 0.4394
O: 0.8583 0.7883 0.9394
O: 0.3583 0.2117 0.5606
O: 0.1417 0.2117 0.0606

Computed properties:
Total magnetization = 0.065 μB per cell
Volume = 12.79 Å³/atom
Symmetry = P2_1/c (14)
ΔH_f (0 K) = -1.66 eV/atom
MP2020-corrected energy = -6.5460 eV/atom

2.
First-principles (PBE-GGA) data for a relaxed Ce2Zn4Ru crystal, as listed in the Materials Project database.

Cell lengths 7.1936, 7.1936, 5.1945 Å; angles 90.00, 90.00, 90.00 degrees
Fractional coordinates of all 14 atoms:
Ce: 0.0000 0.5000 0.7761
Ce: 0.0000 0.0000 0.0000
Ce: 0.5000 0.0000 0.2239
Ce: 0.5000 0.5000 0.0000
Zn: 0.1851 0.6851 0.2900
Zn: 0.8149 0.6851 0.2900
Zn: 0.8149 0.3149 0.2900
Zn: 0.3149 0.1851 0.7100
Zn: 0.1851 0.3149 0.2900
Zn: 0.6851 0.1851 0.7100
Zn: 0.6851 0.8149 0.7100
Zn: 0.3149 0.8149 0.7100
Ru: 0.5000 0.5000 0.5000
Ru: 0.0000 0.0000 0.5000

Computed properties:
Volume = 19.20 Å³/atom
Symmetry = P4/nmm (129)
ΔH_f (0 K) = -0.38 eV/atom

3.
First-principles (PBE-GGA) data for a relaxed SrEu4O5 crystal, as listed in the Materials Project database.

Cell lengths 6.2583, 6.2583, 6.2583 Å; angles 99.60, 99.60, 131.81 degrees
Fractional coordinates of all 10 atoms:
Sr: 0.0000 0.0000 0.0000
Eu: 0.8006 0.5998 0.4004
Eu: 0.4002 0.8006 0.2008
Eu: 0.5998 0.1994 0.7992
Eu: 0.1994 0.4002 0.5996
O: 0.5000 0.5000 0.0000
O: 0.3048 0.1024 0.4071
O: 0.8976 0.3048 0.2024
O: 0.1024 0.6952 0.7976
O: 0.6952 0.8976 0.5929

Computed properties:
Volume = 16.68 Å³/atom
Symmetry = I4/m (87)
ΔH_f (0 K) = -3.12 eV/atom
MP2020-corrected energy = -9.8611 eV/atom

4.
First-principles (PBE-GGA) data for a relaxed Mg14NbV crystal, as listed in the Materials Project database.

Cell lengths 6.3134, 6.3134, 10.0423 Å; angles 90.00, 90.00, 120.00 degrees
Fractional coordinates of all 16 atoms:
Mg: 0.1683 0.8342 0.1250
Mg: 0.1703 0.8352 0.6250
Mg: 0.6658 0.3317 0.1250
Mg: 0.6648 0.3297 0.6250
Mg: 0.6658 0.8342 0.1250
Mg: 0.6648 0.8352 0.6250
Mg: 0.3278 0.1722 0.3758
Mg: 0.3278 0.1722 0.8742
Mg: 0.3278 0.6557 0.3758
Mg: 0.3278 0.6557 0.8742
Mg: 0.8443 0.1722 0.3758
Mg: 0.8443 0.1722 0.8742
Mg: 0.8333 0.6667 0.3765
Mg: 0.8333 0.6667 0.8735
Nb: 0.1667 0.3333 0.6250
V: 0.1667 0.3333 0.1250

Computed properties:
Total magnetization = 3.945 μB per cell
Volume = 21.67 Å³/atom
Symmetry = P-6m2 (187)
ΔH_f (0 K) = 0.16 eV/atom
Polymorph energy (0 for the lowest one) = 26 meV/atom